Entry from Materials Project: a geometry-optimized V4Ag2O11 structure (GGA+U).

a = 7.981 Å, b = 7.981 Å, c = 9.614 Å
α = 125.96°, β = 125.96°, γ = 26.15°
Atoms (fractional coordinates):
V1 0.134 0.134 0.424
V2 0.354 0.354 0.847
V3 0.646 0.646 0.153
V4 0.866 0.866 0.576
Ag1 0.381 0.381 0.268
Ag2 0.619 0.619 0.732
O1 0.001 0.001 0.319
O2 0.151 0.151 0.220
O3 0.185 0.185 0.646
O4 0.323 0.323 0.983
O5 0.335 0.335 0.590
O6 0.500 0.500 0.000
O7 0.665 0.665 0.410
O8 0.677 0.677 0.017
O9 0.815 0.815 0.354
O10 0.849 0.849 0.780
O11 0.999 0.999 0.681

Computed properties:
SG: C2/m, No. 12
Crystal system: monoclinic
Formation enthalpy at 0 K in eV per atom: -1.971
Theoretical density in Mg/m³: 4.59
Final energy in eV per formula unit: -115.6